Here is a relaxed Zr3AlN crystal from the Materials Project database. Energies are from GGA-PBE.

Cell lengths 6.028, 6.028, 9.032 Å; angles 90.00, 90.00, 147.37 degrees
Element x y z (fractional)
Zr: 0.955 0.045 0.750
Zr: 0.045 0.955 0.250
Zr: 0.627 0.373 0.542
Zr: 0.373 0.627 0.458
Zr: 0.373 0.627 0.042
Zr: 0.627 0.373 0.958
Al: 0.748 0.252 0.250
Al: 0.252 0.748 0.750
N: 0.000 0.000 0.500
N: 0.000 0.000 0.000

## Properties
total DFT energy (no corrections): -8.5134 eV/atom
crystal system: orthorhombic
formation energy from the elements: -1.041 eV/atom